Below is BaNb4Fe2O14 after structural relaxation, with properties calculated at the GGA+U level.

Results
The total moment comes out at 0.00 μB/cell. The polymorph energy (0 for the lowest one) comes out at 0 meV/atom.

Structure (POSCAR):
```
BaNb4Fe2O14
1.0
6.929 -0.529 5.402
5.932 0.293 -8.185
-1.905 8.602 -2.319
O Ba Nb Fe
28 2 8 4
direct
0.827 0.545 0.196
0.717 0.294 0.264
0.655 0.031 0.159
0.600 0.073 0.441
0.919 0.701 0.647
0.217 0.794 0.264
0.783 0.206 0.736
0.100 0.573 0.441
0.094 0.180 0.749
0.938 0.734 0.982
0.081 0.299 0.353
0.845 0.469 0.841
0.327 0.045 0.196
0.155 0.531 0.159
0.173 0.455 0.804
0.438 0.234 0.982
0.900 0.427 0.559
0.400 0.927 0.559
0.673 0.955 0.804
0.562 0.766 0.018
0.581 0.799 0.353
0.594 0.680 0.749
0.406 0.320 0.251
0.283 0.706 0.736
0.419 0.201 0.647
0.345 0.969 0.841
0.906 0.820 0.251
0.062 0.266 0.018
0.500 0.500 0.000
0.000 0.000 0.000
0.604 0.101 0.645
0.317 0.149 0.801
0.817 0.649 0.801
0.896 0.399 0.355
0.396 0.899 0.355
0.183 0.351 0.199
0.104 0.601 0.645
0.683 0.851 0.199
0.471 0.831 0.783
0.029 0.669 0.217
0.529 0.169 0.217
0.971 0.331 0.783
```

Below is BaNb2Fe2P6O24 after structural relaxation, with properties calculated at the GGA+U level.

Results
Its space-group type is R3, No. 146. The total moment comes out at 10.00 μB/cell. The polymorph energy (0 for the lowest one) comes out at 18 meV/atom.

Structure (POSCAR):
```
BaNb2Fe2P6O24
1.0
-2.850 8.399 2.798
-7.944 4.046 -2.650
-7.279 1.528 5.584
P Nb O Ba Fe
6 2 24 1 2
direct
0.538 0.243 0.971
0.243 0.971 0.538
0.971 0.538 0.243
0.745 0.038 0.471
0.471 0.745 0.038
0.038 0.471 0.745
0.146 0.146 0.146
0.649 0.649 0.649
0.643 0.749 0.017
0.749 0.017 0.643
0.565 0.429 0.795
0.247 0.988 0.356
0.988 0.356 0.247
0.429 0.795 0.565
0.927 0.704 0.075
0.740 0.860 0.494
0.576 0.210 0.425
0.301 0.930 0.064
0.425 0.576 0.210
0.140 0.512 0.256
0.704 0.075 0.927
0.930 0.064 0.301
0.064 0.301 0.930
0.494 0.740 0.860
0.860 0.494 0.740
0.512 0.256 0.140
0.256 0.140 0.512
0.210 0.425 0.576
0.017 0.643 0.749
0.795 0.565 0.429
0.356 0.247 0.988
0.075 0.927 0.704
0.496 0.496 0.496
0.853 0.853 0.853
0.347 0.347 0.347
```

Below is BaNb2Fe2P6O24 after structural relaxation, with properties calculated at the GGA+U level.

Results
Its space-group type is P2_1/c, No. 14. The total moment comes out at 20.00 μB/cell. The polymorph energy (0 for the lowest one) comes out at 0 meV/atom.

Structure (POSCAR):
```
BaNb2Fe2P6O24
1.0
8.647 0.000 0.000
0.000 9.283 0.000
0.000 1.146 12.638
O P Nb Fe Ba
48 12 4 4 2
direct
0.060 0.292 0.299
0.625 0.026 0.882
0.318 0.083 0.824
0.391 0.606 0.682
0.440 0.792 0.299
0.382 0.389 0.818
0.118 0.889 0.818
0.818 0.178 0.610
0.182 0.822 0.390
0.682 0.917 0.176
0.882 0.111 0.182
0.125 0.474 0.118
0.553 0.790 0.803
0.314 0.680 0.112
0.618 0.611 0.182
0.609 0.394 0.318
0.132 0.524 0.384
0.947 0.290 0.803
0.632 0.976 0.616
0.940 0.708 0.701
0.186 0.180 0.112
0.812 0.581 0.329
0.427 0.200 0.001
0.318 0.322 0.390
0.814 0.820 0.888
0.375 0.974 0.118
0.686 0.320 0.888
0.818 0.417 0.176
0.188 0.419 0.671
0.927 0.300 0.999
0.312 0.919 0.671
0.688 0.081 0.329
0.875 0.526 0.882
0.109 0.106 0.682
0.073 0.700 0.001
0.568 0.213 0.505
0.868 0.476 0.616
0.068 0.287 0.495
0.432 0.787 0.495
0.682 0.678 0.610
0.573 0.800 0.999
0.560 0.208 0.701
0.053 0.710 0.197
0.447 0.210 0.197
0.368 0.024 0.384
0.932 0.713 0.505
0.182 0.583 0.824
0.891 0.894 0.318
0.855 0.642 0.606
0.361 0.141 0.111
0.217 0.003 0.747
0.139 0.641 0.111
0.355 0.858 0.394
0.645 0.142 0.606
0.717 0.497 0.253
0.283 0.503 0.747
0.783 0.997 0.253
0.861 0.359 0.889
0.145 0.358 0.394
0.639 0.859 0.889
0.501 0.790 0.147
0.001 0.710 0.853
0.999 0.290 0.147
0.499 0.210 0.853
0.502 0.805 0.650
0.998 0.305 0.650
0.002 0.695 0.350
0.498 0.195 0.350
0.000 0.000 0.500
0.500 0.500 0.500
```

Below is Ba2SmNb4FeO15 after structural relaxation, with properties calculated at the GGA+U level.

Results
Its space-group type is Pc, No. 7. The total moment comes out at 10.01 μB/cell.

Structure (POSCAR):
```
Ba2SmNb4FeO15
1.0
-2.262 -0.951 -12.368
1.166 -3.906 0.087
-11.953 -3.565 2.460
Fe Nb O Ba Sm
2 8 30 4 2
direct
0.673 0.843 0.713
0.327 0.843 0.213
0.536 0.870 0.422
0.041 0.867 0.077
0.178 0.864 0.789
0.822 0.864 0.289
0.464 0.870 0.922
0.959 0.867 0.577
0.750 0.871 0.996
0.250 0.871 0.496
0.255 0.817 0.656
0.748 0.328 0.001
0.252 0.328 0.501
0.680 0.804 0.353
0.877 0.809 0.439
0.826 0.322 0.300
0.246 0.828 0.345
0.632 0.837 0.554
0.949 0.329 0.575
0.174 0.322 0.800
0.472 0.843 0.282
0.179 0.816 0.142
0.554 0.335 0.429
0.745 0.817 0.156
0.528 0.843 0.782
0.754 0.828 0.845
0.320 0.804 0.853
0.411 0.822 0.511
0.968 0.830 0.219
0.325 0.334 0.189
0.032 0.830 0.719
0.675 0.334 0.689
0.908 0.818 0.991
0.092 0.818 0.491
0.368 0.837 0.054
0.123 0.809 0.939
0.589 0.822 0.011
0.821 0.816 0.642
0.446 0.335 0.929
0.051 0.329 0.075
0.091 0.356 0.321
0.427 0.356 0.672
0.573 0.356 0.172
0.909 0.356 0.821
0.262 0.374 0.022
0.738 0.374 0.522
```

Below is BaNdFe2O6 after structural relaxation, with properties calculated at the GGA+U level.

Results
Its space-group type is Fm-3m, No. 225. The total moment comes out at 9.00 μB/cell.

Structure (POSCAR):
```
BaNdFe2O6
1.0
0.000 3.965 3.965
3.965 0.000 3.965
3.965 3.965 0.000
Nd O Fe Ba
1 6 2 1
direct
0.500 0.500 0.500
0.500 0.000 0.000
0.000 0.500 0.500
0.000 0.000 0.500
0.500 0.000 0.500
0.500 0.500 0.000
0.000 0.500 0.000
0.750 0.750 0.750
0.250 0.250 0.250
0.000 0.000 0.000
```

Below is BaNdFe4O12 after structural relaxation, with properties calculated at the GGA+U level.

Results
Its space-group type is P4/mmm, No. 123. The total moment comes out at 19.33 μB/cell.

Structure (POSCAR):
```
BaNdFe4O12
1.0
5.482 0.000 0.000
0.000 5.482 0.000
0.000 0.000 7.722
O Fe Nd Ba
12 4 1 1
direct
0.760 0.240 0.264
0.240 0.240 0.264
0.760 0.760 0.736
0.240 0.760 0.264
0.240 0.760 0.736
0.760 0.240 0.736
0.240 0.240 0.736
0.000 0.500 0.000
0.000 0.500 0.500
0.760 0.760 0.264
0.500 0.000 0.000
0.500 0.000 0.500
0.500 0.000 0.750
0.500 0.000 0.250
0.000 0.500 0.250
0.000 0.500 0.750
0.000 0.000 0.500
0.500 0.500 0.000
```

Below is BaTbNdFeO6 after structural relaxation, with properties calculated at the GGA+U level.

Results
Its space-group type is F-43m, No. 216. The total moment comes out at 4.00 μB/cell.

Structure (POSCAR):
```
BaTbNdFeO6
1.0
0.000 -4.141 -4.141
4.141 0.000 -4.141
4.141 -4.141 0.000
Tb O Ba Fe Nd
1 6 1 1 1
direct
0.500 0.500 0.500
0.765 0.235 0.235
0.765 0.765 0.235
0.235 0.235 0.765
0.235 0.765 0.765
0.765 0.235 0.765
0.235 0.765 0.235
0.750 0.750 0.750
0.000 0.000 0.000
0.250 0.250 0.250
```

Below is Ba2Fe8Ni3Sb2O22 after structural relaxation, with properties calculated at the GGA+U level.

Results
Its space-group type is P-3m1, No. 164. The total moment comes out at 46.00 μB/cell.

Structure (POSCAR):
```
Ba2Fe8Ni3Sb2O22
1.0
4.635 3.462 -1.673
-5.120 0.083 -3.171
-4.978 10.685 8.317
O Ba Fe Ni Sb
22 2 8 3 2
direct
0.179 0.359 0.593
0.844 0.156 0.087
0.496 0.504 0.245
0.496 0.993 0.245
0.311 0.156 0.087
0.333 0.667 0.091
0.821 0.641 0.407
0.844 0.689 0.087
0.179 0.821 0.593
0.821 0.179 0.407
0.993 0.496 0.755
0.504 0.496 0.755
0.504 0.007 0.755
0.641 0.821 0.593
0.689 0.844 0.913
0.156 0.844 0.913
0.000 0.000 0.761
0.000 0.000 0.239
0.667 0.333 0.909
0.156 0.311 0.913
0.007 0.504 0.245
0.359 0.179 0.407
0.667 0.333 0.575
0.333 0.667 0.425
0.165 0.835 0.172
0.667 0.333 0.046
0.670 0.835 0.172
0.165 0.330 0.172
0.333 0.667 0.954
0.330 0.165 0.828
0.835 0.670 0.828
0.835 0.165 0.828
0.000 0.000 0.622
0.000 0.000 0.378
0.000 0.000 0.000
0.667 0.333 0.324
0.333 0.667 0.676
```

Below is Ba5Fe5O14 after structural relaxation, with properties calculated at the GGA+U level.

Results
Its space-group type is Cmcm, No. 63. The total moment comes out at 47.31 μB/cell.

Structure (POSCAR):
```
Ba5Fe5O14
1.0
2.936 -5.116 0.000
2.936 5.116 0.000
0.000 0.000 24.715
O Ba Fe
28 10 10
direct
0.708 0.849 0.451
0.848 0.152 0.544
0.377 0.623 0.750
0.143 0.349 0.855
0.151 0.292 0.451
0.651 0.857 0.645
0.349 0.143 0.145
0.708 0.849 0.049
0.151 0.292 0.049
0.861 0.139 0.159
0.139 0.861 0.841
0.349 0.143 0.355
0.292 0.151 0.549
0.861 0.139 0.341
0.623 0.377 0.250
0.292 0.151 0.951
0.152 0.848 0.456
0.143 0.349 0.645
0.706 0.294 0.750
0.849 0.708 0.549
0.651 0.857 0.855
0.857 0.651 0.145
0.139 0.861 0.659
0.294 0.706 0.250
0.849 0.708 0.951
0.152 0.848 0.044
0.848 0.152 0.956
0.857 0.651 0.355
0.333 0.667 0.539
0.034 0.966 0.250
0.345 0.655 0.139
0.655 0.345 0.861
0.667 0.333 0.039
0.667 0.333 0.461
0.966 0.034 0.750
0.333 0.667 0.961
0.655 0.345 0.639
0.345 0.655 0.361
0.989 0.011 0.607
0.989 0.011 0.893
0.011 0.989 0.393
0.682 0.318 0.322
0.318 0.682 0.678
0.318 0.682 0.822
0.011 0.989 0.107
0.682 0.318 0.178
0.000 0.000 0.500
0.000 0.000 0.000
```

Below is BaFe4O8 after structural relaxation, with properties calculated at the GGA+U level.

Results
Its space-group type is P-31m, No. 162. The total moment comes out at 18.00 μB/cell.

Structure (POSCAR):
```
BaFe4O8
1.0
2.818 -4.880 0.000
2.818 4.880 0.000
0.000 0.000 7.676
O Fe Ba
8 4 1
direct
0.354 0.000 0.289
0.646 0.646 0.289
0.333 0.667 0.000
0.646 0.000 0.711
0.667 0.333 0.000
0.000 0.354 0.289
0.000 0.646 0.711
0.354 0.354 0.711
0.667 0.333 0.756
0.667 0.333 0.244
0.333 0.667 0.756
0.333 0.667 0.244
0.000 0.000 0.000
```

Below is BaFeO3 after structural relaxation, with properties calculated at the GGA+U level.

Results
Its space-group type is P6_3/mmc, No. 194.

Structure (POSCAR):
```
BaFeO3
1.0
0.740 5.503 1.357
-5.068 -2.499 0.862
4.041 -3.734 12.939
Ba O Fe
6 18 6
direct
0.333 0.667 0.089
0.667 0.333 0.911
0.667 0.333 0.589
0.000 0.000 0.750
0.333 0.667 0.411
0.000 0.000 0.250
0.838 0.675 0.420
0.162 0.838 0.580
0.162 0.325 0.920
0.325 0.162 0.080
0.675 0.838 0.920
0.968 0.484 0.250
0.032 0.516 0.750
0.675 0.838 0.580
0.838 0.162 0.080
0.162 0.838 0.920
0.325 0.162 0.420
0.516 0.484 0.250
0.838 0.162 0.420
0.484 0.968 0.750
0.516 0.032 0.250
0.162 0.325 0.580
0.838 0.675 0.080
0.484 0.516 0.750
0.000 0.000 0.500
0.667 0.333 0.152
0.000 0.000 0.000
0.333 0.667 0.848
0.667 0.333 0.348
0.333 0.667 0.652
```

E_tot values (in eV/atom) by entry order: -8.160; -7.578; -7.597; -8.268; -6.866; -6.234; -7.125; -6.282; -6.361; -6.242; -6.333.